Here is a geometry-optimized Mg14CuSnO16 structure from Materials Project. Energies are from GGA-PBE.

a = 8.6862 Å, b = 8.6862 Å, c = 4.2944 Å
α = 90.00°, β = 90.00°, γ = 90.00°
Element x y z (fractional)
1 Mg 0.0000 0.2449 0.0000
2 Mg 0.0000 0.5000 0.5000
3 Mg 0.0000 0.7551 0.0000
4 Mg 0.2368 0.5000 0.0000
5 Mg 0.2407 0.2407 0.5000
6 Mg 0.2407 0.7593 0.5000
7 Mg 0.2449 0.0000 0.0000
8 Mg 0.5000 0.0000 0.5000
9 Mg 0.5000 0.2368 0.0000
10 Mg 0.5000 0.7632 0.0000
11 Mg 0.7551 0.0000 0.0000
12 Mg 0.7593 0.2407 0.5000
13 Mg 0.7593 0.7593 0.5000
14 Mg 0.7632 0.5000 0.0000
15 Cu 0.0000 0.0000 0.5000
16 Sn 0.5000 0.5000 0.5000
17 O 0.0000 0.0000 0.0000
18 O 0.0000 0.2612 0.5000
19 O 0.0000 0.5000 0.0000
20 O 0.0000 0.7388 0.5000
21 O 0.2377 0.5000 0.5000
22 O 0.2502 0.2502 0.0000
23 O 0.2502 0.7498 0.0000
24 O 0.2612 0.0000 0.5000
25 O 0.5000 0.0000 0.0000
26 O 0.5000 0.2377 0.5000
27 O 0.5000 0.5000 0.0000
28 O 0.5000 0.7623 0.5000
29 O 0.7388 0.0000 0.5000
30 O 0.7498 0.2502 0.0000
31 O 0.7498 0.7498 0.0000
32 O 0.7623 0.5000 0.5000

Values from the calculation:
- E_form (meV/atom) = -2748.1
- raw total energy (eV for the cell shown) = -186.63